Record 1
Density functional theory data (PBE) for an optimized crystal structure of HoSbRh2.

CIF file:
```
data_HoSbRh2
_chemical_formula_sum 'Ho4 Sb4 Rh8'
_cell_length_a 6.658
_cell_length_b 6.658
_cell_length_c 6.658
_cell_angle_alpha 90.00
_cell_angle_beta 90.00
_cell_angle_gamma 90.00
_space_group_name_H-M_alt 'F m -3 m'
_space_group_IT_number 225
_space_group_name_Hall '-F 4 2 3'
loop_
_atom_site_label
_atom_site_fract_x
_atom_site_fract_y
_atom_site_fract_z
Ho1 0.000 0.000 0.000
Sb1 0.000 0.000 0.500
Rh1 0.250 0.250 0.250
```

Calculated values
The total energy comes out at -6.59 eV/atom. The formation energy from the elements comes out at -0.733 eV per atom.

Record 2
Density functional theory data (PBE) for an optimized crystal structure of HoSbRh.

CIF file:
```
data_HoSbRh
_chemical_formula_sum 'Ho4 Sb4 Rh4'
_cell_length_a 7.155
_cell_length_b 4.581
_cell_length_c 7.816
_cell_angle_alpha 90.00
_cell_angle_beta 90.00
_cell_angle_gamma 90.00
_space_group_name_H-M_alt 'P n m a'
_space_group_IT_number 62
loop_
_space_group_symop_operation_xyz
'x,y,z'
'-x,-y,-z'
'-x+1/2,-y,z+1/2'
'x+1/2,y,-z+1/2'
'x+1/2,-y+1/2,-z+1/2'
'-x+1/2,y+1/2,z+1/2'
'-x,y+1/2,-z'
'x,-y+1/2,z'
loop_
_atom_site_label
_atom_site_fract_x
_atom_site_fract_y
_atom_site_fract_z
Ho1 0.011 0.250 0.199
Sb1 0.190 0.250 0.592
Rh1 0.200 0.750 0.419
```

Calculated values
The total energy comes out at -6.36 eV/atom. The formation energy from the elements comes out at -0.997 eV per atom.

> Among the records above, which one has the highest formation energy from the elements?

HoSbRh2

> What is the formula in the first record?

HoSbRh2

> What is the formation energy from the elements in the second record?

-0.997 eV per atom